(1)
Tb8Se15 | PBE-GGA | relaxed

## Properties
For the calculated density, the calculation gives 7.421 g/cm³. The calculation puts the magnetic moment at 0.00 μB/cell. As for the energy relative to the elements: -189.70 kJ per mole of atoms. As for the symmetry: No. 5.

a b c (Å): 11.637 11.637 12.180
angles (deg): 90.03 90.03 91.70
Atoms (fractional coordinates):
1 Tb 0.000 0.000 0.000
2 Tb 0.078 0.673 0.501
3 Tb 0.087 0.653 0.170
4 Tb 0.089 0.654 0.832
5 Tb 0.231 0.273 0.332
6 Tb 0.232 0.274 0.669
7 Tb 0.235 0.264 0.000
8 Tb 0.327 0.922 0.499
9 Tb 0.346 0.911 0.168
10 Tb 0.347 0.913 0.830
11 Tb 0.470 0.530 0.000
12 Tb 0.489 0.509 0.334
13 Tb 0.491 0.511 0.666
14 Tb 0.585 0.172 0.166
15 Tb 0.585 0.172 0.834
16 Tb 0.591 0.153 0.500
17 Tb 0.726 0.768 0.331
18 Tb 0.727 0.769 0.668
19 Tb 0.736 0.765 0.000
20 Tb 0.828 0.415 0.166
21 Tb 0.828 0.415 0.834
22 Tb 0.847 0.409 0.500
23 Tb 0.982 0.018 0.332
24 Tb 0.982 0.018 0.668
25 Se 0.077 0.382 0.842
26 Se 0.078 0.382 0.158
27 Se 0.114 0.422 0.503
28 Se 0.153 0.101 0.500
29 Se 0.159 0.090 0.165
30 Se 0.159 0.090 0.835
31 Se 0.160 0.839 0.335
32 Se 0.161 0.840 0.665
33 Se 0.174 0.826 0.000
34 Se 0.210 0.516 0.001
35 Se 0.230 0.536 0.353
36 Se 0.234 0.542 0.655
37 Se 0.345 0.651 0.190
38 Se 0.349 0.655 0.810
39 Se 0.403 0.346 0.167
40 Se 0.404 0.347 0.833
41 Se 0.412 0.090 0.333
42 Se 0.412 0.090 0.666
43 Se 0.412 0.341 0.501
44 Se 0.417 0.089 0.000
45 Se 0.458 0.766 0.345
46 Se 0.464 0.770 0.647
47 Se 0.484 0.790 0.999
48 Se 0.578 0.886 0.497
49 Se 0.618 0.922 0.842
50 Se 0.618 0.923 0.158
51 Se 0.647 0.353 0.000
52 Se 0.653 0.596 0.167
53 Se 0.654 0.597 0.833
54 Se 0.659 0.588 0.499
55 Se 0.666 0.333 0.334
56 Se 0.667 0.334 0.666
57 Se 0.725 0.027 0.315
58 Se 0.725 0.028 0.686
59 Se 0.835 0.164 0.899
60 Se 0.836 0.165 0.101
61 Se 0.848 0.152 0.500
62 Se 0.899 0.847 0.500
63 Se 0.910 0.588 0.334
64 Se 0.910 0.588 0.667
65 Se 0.910 0.841 0.165
66 Se 0.910 0.841 0.835
67 Se 0.911 0.583 0.000
68 Se 0.972 0.275 0.314
69 Se 0.973 0.275 0.685

=====

(2)
Ni11As8 | PBE-GGA | relaxed

## Properties
For the calculated density, the calculation gives 7.902 g/cm³. As for the energy relative to the elements: -29.67 kJ per mole of atoms. As for the symmetry: No. 15.

a b c (Å): 6.912 6.912 11.216
angles (deg): 98.76 98.76 90.02
Atoms (fractional coordinates):
1 Ni 0.079 0.145 0.093
2 Ni 0.085 0.651 0.092
3 Ni 0.145 0.079 0.593
4 Ni 0.145 0.467 0.593
5 Ni 0.190 0.810 0.750
6 Ni 0.198 0.322 0.787
7 Ni 0.322 0.198 0.287
8 Ni 0.348 0.540 0.408
9 Ni 0.349 0.915 0.408
10 Ni 0.460 0.652 0.092
11 Ni 0.467 0.145 0.093
12 Ni 0.533 0.855 0.907
13 Ni 0.540 0.348 0.908
14 Ni 0.651 0.085 0.592
15 Ni 0.652 0.460 0.592
16 Ni 0.678 0.802 0.713
17 Ni 0.802 0.678 0.213
18 Ni 0.810 0.190 0.250
19 Ni 0.855 0.533 0.407
20 Ni 0.855 0.921 0.407
21 Ni 0.915 0.349 0.908
22 Ni 0.921 0.855 0.907
23 As 0.066 0.443 0.249
24 As 0.067 0.933 0.250
25 As 0.127 0.752 0.508
26 As 0.248 0.873 0.992
27 As 0.251 0.376 0.001
28 As 0.376 0.251 0.501
29 As 0.443 0.066 0.749
30 As 0.443 0.557 0.750
31 As 0.557 0.443 0.250
32 As 0.557 0.934 0.251
33 As 0.624 0.749 0.499
34 As 0.749 0.624 0.999
35 As 0.752 0.127 0.008
36 As 0.873 0.248 0.492
37 As 0.933 0.067 0.750
38 As 0.934 0.557 0.751

=====

Repeat the first record exactly.
Tb8Se15 | PBE-GGA | relaxed

## Properties
For the calculated density, the calculation gives 7.421 g/cm³. The calculation puts the magnetic moment at 0.00 μB/cell. As for the energy relative to the elements: -189.70 kJ per mole of atoms. As for the symmetry: No. 5.

a b c (Å): 11.637 11.637 12.180
angles (deg): 90.03 90.03 91.70
Atoms (fractional coordinates):
1 Tb 0.000 0.000 0.000
2 Tb 0.078 0.673 0.501
3 Tb 0.087 0.653 0.170
4 Tb 0.089 0.654 0.832
5 Tb 0.231 0.273 0.332
6 Tb 0.232 0.274 0.669
7 Tb 0.235 0.264 0.000
8 Tb 0.327 0.922 0.499
9 Tb 0.346 0.911 0.168
10 Tb 0.347 0.913 0.830
11 Tb 0.470 0.530 0.000
12 Tb 0.489 0.509 0.334
13 Tb 0.491 0.511 0.666
14 Tb 0.585 0.172 0.166
15 Tb 0.585 0.172 0.834
16 Tb 0.591 0.153 0.500
17 Tb 0.726 0.768 0.331
18 Tb 0.727 0.769 0.668
19 Tb 0.736 0.765 0.000
20 Tb 0.828 0.415 0.166
21 Tb 0.828 0.415 0.834
22 Tb 0.847 0.409 0.500
23 Tb 0.982 0.018 0.332
24 Tb 0.982 0.018 0.668
25 Se 0.077 0.382 0.842
26 Se 0.078 0.382 0.158
27 Se 0.114 0.422 0.503
28 Se 0.153 0.101 0.500
29 Se 0.159 0.090 0.165
30 Se 0.159 0.090 0.835
31 Se 0.160 0.839 0.335
32 Se 0.161 0.840 0.665
33 Se 0.174 0.826 0.000
34 Se 0.210 0.516 0.001
35 Se 0.230 0.536 0.353
36 Se 0.234 0.542 0.655
37 Se 0.345 0.651 0.190
38 Se 0.349 0.655 0.810
39 Se 0.403 0.346 0.167
40 Se 0.404 0.347 0.833
41 Se 0.412 0.090 0.333
42 Se 0.412 0.090 0.666
43 Se 0.412 0.341 0.501
44 Se 0.417 0.089 0.000
45 Se 0.458 0.766 0.345
46 Se 0.464 0.770 0.647
47 Se 0.484 0.790 0.999
48 Se 0.578 0.886 0.497
49 Se 0.618 0.922 0.842
50 Se 0.618 0.923 0.158
51 Se 0.647 0.353 0.000
52 Se 0.653 0.596 0.167
53 Se 0.654 0.597 0.833
54 Se 0.659 0.588 0.499
55 Se 0.666 0.333 0.334
56 Se 0.667 0.334 0.666
57 Se 0.725 0.027 0.315
58 Se 0.725 0.028 0.686
59 Se 0.835 0.164 0.899
60 Se 0.836 0.165 0.101
61 Se 0.848 0.152 0.500
62 Se 0.899 0.847 0.500
63 Se 0.910 0.588 0.334
64 Se 0.910 0.588 0.667
65 Se 0.910 0.841 0.165
66 Se 0.910 0.841 0.835
67 Se 0.911 0.583 0.000
68 Se 0.972 0.275 0.314
69 Se 0.973 0.275 0.685